An optimized crystal structure of V3Se2ClO8, computed with PBE with a Hubbard U.

Summary:
The value obtained for the volume is 527.47 Å³ per cell. The calculation puts the electronic total energy at -177.666 eV/cell.

Cell: 6.715 7.916 9.926 Å, 90.11 91.31 90.61°
Space group P-1 (No. 2)
Inequivalent atoms, fractional coordinates:
V: 0.000 0.000 0.000 (multiplicity 1)
V: 0.000 0.000 0.500 (multiplicity 1)
V: 0.222 0.811 0.249 (multiplicity 2)
V: 0.500 0.000 0.000 (multiplicity 1)
V: 0.500 0.000 0.500 (multiplicity 1)
Se: 0.246 0.643 0.948 (multiplicity 2)
Se: 0.249 0.645 0.554 (multiplicity 2)
Cl: 0.137 0.129 0.765 (multiplicity 2)
O: 0.044 0.769 0.577 (multiplicity 2)
O: 0.045 0.770 0.919 (multiplicity 2)
O: 0.247 0.973 0.400 (multiplicity 2)
O: 0.252 0.619 0.121 (multiplicity 2)
O: 0.254 0.973 0.102 (multiplicity 2)
O: 0.259 0.622 0.382 (multiplicity 2)
O: 0.452 0.785 0.584 (multiplicity 2)
O: 0.454 0.777 0.927 (multiplicity 2)